LaCo2Ni3 | PBE | optimized geometry

Unit cell a=4.9501 b=4.9501 c=4.0078 alpha=90.00 beta=90.00 gamma=120.00
Last column: nearest neighbours and their distance in Å.
Positions (direct):
La1 0.0000 0.0000 0.0000  6 Co 2.86, 12 Ni 3.18
Co1 0.3333 0.6667 0.0000  6 Ni 2.46
Co2 0.6667 0.3333 0.0000  6 Ni 2.46
Ni1 0.0000 0.5000 0.5000  4 Co 2.46, 4 Ni 2.48
Ni2 0.5000 0.0000 0.5000  4 Co 2.46, 4 Ni 2.48
Ni3 0.5000 0.5000 0.5000  4 Co 2.46, 4 Ni 2.48

Output
Volume ... 85 Å³/f.u.
Formation energy from the elements ... -131 meV per atom